[1]
Ba3NbFe3Si2O14 | PBE+U | relaxed

Calculated values
- formation energy (eV/atom) = -2.81
- electronic total energy (eV for the cell shown) = -169.6
- SG = P321 (150)

Unit cell a=8.7042 b=8.7042 c=5.3193 alpha=90.00 beta=90.00 gamma=120.00
Sites, in units of the cell vectors:
Fe1 0.2555 0.2555 0.5000
O1 0.1048 0.2166 0.2236
O2 0.6988 0.1760 0.3518
Fe2 0.0000 0.7445 0.5000
O3 0.2166 0.1048 0.7764
Ba1 0.4286 0.0000 0.0000
Fe3 0.7445 0.0000 0.5000
O4 0.8952 0.1119 0.7764
Ba2 0.0000 0.4286 0.0000
O5 0.8881 0.7834 0.7764
O6 0.4772 0.3012 0.3518
O7 0.3333 0.6667 0.2203
O8 0.8240 0.5228 0.3518
Ba3 0.5714 0.5714 0.0000
Si1 0.6667 0.3333 0.4765
O9 0.6667 0.3333 0.7797
O10 0.3012 0.4772 0.6482
Si2 0.3333 0.6667 0.5235
Nb1 0.0000 0.0000 0.0000
O11 0.1760 0.6988 0.6482
O12 0.1119 0.8952 0.2236
O13 0.7834 0.8881 0.2236
O14 0.5228 0.8240 0.6482

***

[2]
Mn5Si2O10 | PBE+U | relaxed

Calculated values
- formation energy (eV/atom) = -2.46
- electronic total energy (eV for the cell shown) = -265.5
- SG = P2_1/c (14)

Unit cell a=4.8744 b=8.0282 c=10.6899 alpha=72.63 beta=90.00 gamma=90.00
Sites, in units of the cell vectors:
O1 0.7107 0.5367 0.3243
O2 0.2619 0.7215 0.8546
O3 0.2107 0.4633 0.1757
O4 0.2368 0.1204 0.2444
Mn1 0.4882 0.9224 0.8949
O5 0.2067 0.3012 0.9987
Si1 0.9231 0.7073 0.8566
O6 0.2632 0.1204 0.7444
O7 0.2022 0.9038 0.5562
O8 0.7933 0.6988 0.0013
Mn2 0.0259 0.7138 0.1643
Mn3 0.5000 0.5000 0.0000
Si2 0.0769 0.2927 0.1434
Mn4 0.0000 0.5000 0.5000
O9 0.7619 0.2785 0.6454
O10 0.2381 0.7215 0.3546
Si3 0.4231 0.2927 0.6434
O11 0.7067 0.6988 0.5013
O12 0.7022 0.0962 0.9438
O13 0.7632 0.8796 0.7556
O14 0.2933 0.3012 0.4987
O15 0.2893 0.4633 0.6757
O16 0.2978 0.9038 0.0562
Mn5 0.4741 0.7138 0.6643
Mn6 0.9882 0.0776 0.6051
Si4 0.5769 0.7073 0.3566
Mn7 0.5259 0.2862 0.3357
Mn8 0.5118 0.0776 0.1051
O17 0.7893 0.5367 0.8243
O18 0.7381 0.2785 0.1454
O19 0.7368 0.8796 0.2556
O20 0.7978 0.0962 0.4438
Mn9 0.0118 0.9224 0.3949
Mn10 0.9741 0.2862 0.8357